# 1
## KAuCl4 (PBE)

Data for a relaxed structure of KAuCl4.

Results
* formation enthalpy at 0 K: -1.322 eV/atom
* uncorrected energy: -69.0 eV/cell
* M_tot: 0.00 μB per cell

Unit cell a=9.1004 b=6.5869 c=12.5133 alpha=90.00 beta=96.57 gamma=90.00
With the nearest neighbours (Å) after each atom.
Sites, in units of the cell vectors:
K: 0.0000 0.1985 0.0000  8 Cl 3.26-3.50
K: 0.0000 0.8015 0.5000  8 Cl 3.26-3.50
K: 0.5701 0.3001 0.6325  8 Cl 3.23-3.49
K: 0.5701 0.6999 0.1325  8 Cl 3.23-3.49
Au: 0.2827 0.2510 0.3196  4 Cl 2.32
Au: 0.2827 0.7490 0.8196  4 Cl 2.32
Au: 0.7836 0.2526 0.3147  4 Cl 2.32-2.33
Au: 0.7836 0.7474 0.8147  4 Cl 2.32-2.33
Cl: 0.1193 0.0004 0.2499  1 Au 2.32
Cl: 0.1193 0.9996 0.7499  1 Au 2.32
Cl: 0.2781 0.3986 0.1508  1 Au 2.32
Cl: 0.2781 0.6014 0.6508  1 Au 2.32
Cl: 0.2881 0.1029 0.4885  1 Au 2.32
Cl: 0.2881 0.8971 0.9885  1 Au 2.32
Cl: 0.4455 0.4977 0.8894  1 Au 2.32
Cl: 0.4455 0.5023 0.3894  1 Au 2.32
Cl: 0.6631 0.0391 0.8621  1 Au 2.32
Cl: 0.6631 0.9609 0.3621  1 Au 2.32
Cl: 0.6926 0.2023 0.1353  1 Au 2.33
Cl: 0.6926 0.7977 0.6353  1 Au 2.33
Cl: 0.8748 0.3028 0.4941  1 Au 2.33
Cl: 0.8748 0.6972 0.9941  1 Au 2.33
Cl: 0.9035 0.4549 0.7677  1 Au 2.32
Cl: 0.9035 0.5451 0.2677  1 Au 2.32

---

# 2
## KAuCl4 (PBE)

Data for a relaxed structure of KAuCl4.

Results
* formation enthalpy at 0 K: -1.322 eV/atom
* uncorrected energy: -69.0 eV/cell

Unit cell a=9.1050 b=6.5533 c=12.5063 alpha=90.00 beta=96.66 gamma=90.00
With the nearest neighbours (Å) after each atom.
Sites, in units of the cell vectors:
K: 0.2134 0.0492 0.1839  8 Cl 3.24-3.49
K: 0.2134 0.4508 0.6839  8 Cl 3.24-3.49
K: 0.7866 0.5492 0.3161  8 Cl 3.24-3.49
K: 0.7866 0.9508 0.8161  8 Cl 3.24-3.49
Au: 0.0000 0.0000 0.5000  4 Cl 2.32-2.33
Au: 0.0000 0.5000 0.0000  4 Cl 2.32-2.33
Au: 0.5000 0.0000 0.5000  4 Cl 2.32
Au: 0.5000 0.5000 0.0000  4 Cl 2.32
Cl: 0.0934 0.5477 0.1793  1 Au 2.33
Cl: 0.0934 0.9523 0.6793  1 Au 2.33
Cl: 0.1230 0.7088 0.4528  1 Au 2.32
Cl: 0.1230 0.7912 0.9528  1 Au 2.32
Cl: 0.3348 0.2503 0.4305  1 Au 2.32
Cl: 0.3348 0.2497 0.9305  1 Au 2.32
Cl: 0.4933 0.6507 0.8314  1 Au 2.32
Cl: 0.4933 0.8493 0.3314  1 Au 2.32
Cl: 0.5067 0.1507 0.6686  1 Au 2.32
Cl: 0.5067 0.3493 0.1686  1 Au 2.32
Cl: 0.6652 0.7503 0.0695  1 Au 2.32
Cl: 0.6652 0.7497 0.5695  1 Au 2.32
Cl: 0.8770 0.2088 0.0472  1 Au 2.32
Cl: 0.8770 0.2912 0.5472  1 Au 2.32
Cl: 0.9066 0.0477 0.3207  1 Au 2.33
Cl: 0.9066 0.4523 0.8207  1 Au 2.33

---

# 3
## K2LaAuCl6 (PBE)

Data for a relaxed structure of K2LaAuCl6.

Results
* formation enthalpy at 0 K: -2.010 eV/atom
* uncorrected energy: -37.9 eV/cell
* M_tot: 0.00 μB per cell

Unit cell a=7.7764 b=7.7764 c=7.7764 alpha=60.00 beta=60.00 gamma=60.00
With the nearest neighbours (Å) after each atom.
Sites, in units of the cell vectors:
K: 0.2500 0.2500 0.2500  12 Cl 3.89
K: 0.7500 0.7500 0.7500  12 Cl 3.89
La: 0.0000 0.0000 0.0000  6 Cl 2.76
Au: 0.5000 0.5000 0.5000  6 Cl 2.74
Cl: 0.2510 0.2510 0.7490  1 Au 2.74, 1 La 2.76
Cl: 0.2510 0.7490 0.2510  1 Au 2.74, 1 La 2.76
Cl: 0.2510 0.7490 0.7490  1 Au 2.74, 1 La 2.76
Cl: 0.7490 0.2510 0.2510  1 Au 2.74, 1 La 2.76
Cl: 0.7490 0.2510 0.7490  1 Au 2.74, 1 La 2.76
Cl: 0.7490 0.7490 0.2510  1 Au 2.74, 1 La 2.76

---

# 4
## K2LuAuCl6 (PBE)

Data for a relaxed structure of K2LuAuCl6.

Results
* formation enthalpy at 0 K: -2.007 eV/atom
* uncorrected energy: -37.5 eV/cell
* M_tot: 0.00 μB per cell

Unit cell a=7.5216 b=7.5216 c=7.5216 alpha=60.00 beta=60.00 gamma=60.00
With the nearest neighbours (Å) after each atom.
Sites, in units of the cell vectors:
K: 0.2500 0.2500 0.2500  12 Cl 3.76
K: 0.7500 0.7500 0.7500  12 Cl 3.76
Lu: 0.0000 0.0000 0.0000  6 Cl 2.58
Au: 0.5000 0.5000 0.5000  6 Cl 2.74
Cl: 0.2422 0.2422 0.7578  1 Lu 2.58, 1 Au 2.74
Cl: 0.2422 0.7578 0.2422  1 Lu 2.58, 1 Au 2.74
Cl: 0.2422 0.7578 0.7578  1 Lu 2.58, 1 Au 2.74
Cl: 0.7578 0.2422 0.2422  1 Lu 2.58, 1 Au 2.74
Cl: 0.7578 0.2422 0.7578  1 Lu 2.58, 1 Au 2.74
Cl: 0.7578 0.7578 0.2422  1 Lu 2.58, 1 Au 2.74

---

# 5
## K2NaAuCl6 (PBE)

Data for a relaxed structure of K2NaAuCl6.

Results
* formation enthalpy at 0 K: -1.519 eV/atom
* uncorrected energy: -29.4 eV/cell
* M_tot: 1.83 μB per cell

Unit cell a=7.4049 b=7.4049 c=7.4049 alpha=60.00 beta=60.00 gamma=60.00
With the nearest neighbours (Å) after each atom.
Sites, in units of the cell vectors:
K: 0.2500 0.2500 0.2500  12 Cl 3.70
K: 0.7500 0.7500 0.7500  12 Cl 3.70
Na: 0.0000 0.0000 0.0000  6 Cl 2.73
Au: 0.5000 0.5000 0.5000  6 Cl 2.51
Cl: 0.2602 0.2602 0.7398  1 Au 2.51, 1 Na 2.73
Cl: 0.2602 0.7398 0.2602  1 Au 2.51, 1 Na 2.73
Cl: 0.2602 0.7398 0.7398  1 Au 2.51, 1 Na 2.73
Cl: 0.7398 0.2602 0.2602  1 Au 2.51, 1 Na 2.73
Cl: 0.7398 0.2602 0.7398  1 Au 2.51, 1 Na 2.73
Cl: 0.7398 0.7398 0.2602  1 Au 2.51, 1 Na 2.73

---

# 6
## KRb2AuCl6 (PBE)

Data for a relaxed structure of KRb2AuCl6.

Results
* formation enthalpy at 0 K: -1.563 eV/atom
* uncorrected energy: -29.4 eV/cell
* M_tot: 2.00 μB per cell

Unit cell a=7.7679 b=7.7679 c=7.7679 alpha=60.00 beta=60.00 gamma=60.00
With the nearest neighbours (Å) after each atom.
Sites, in units of the cell vectors:
K: 0.0000 0.0000 0.0000  6 Cl 2.98
Rb: 0.2500 0.2500 0.2500  12 Cl 3.89
Rb: 0.7500 0.7500 0.7500  12 Cl 3.89
Au: 0.5000 0.5000 0.5000  6 Cl 2.52
Cl: 0.2710 0.2710 0.7290  1 Au 2.52
Cl: 0.2710 0.7290 0.2710  1 Au 2.52
Cl: 0.2710 0.7290 0.7290  1 Au 2.52
Cl: 0.7290 0.2710 0.2710  1 Au 2.52
Cl: 0.7290 0.2710 0.7290  1 Au 2.52
Cl: 0.7290 0.7290 0.2710  1 Au 2.52

---

# 7
## K2RbAuCl6 (PBE)

Data for a relaxed structure of K2RbAuCl6.

Results
* formation enthalpy at 0 K: -1.503 eV/atom
* uncorrected energy: -28.9 eV/cell
* M_tot: 2.00 μB per cell

Unit cell a=7.8830 b=7.8830 c=7.8830 alpha=60.00 beta=60.00 gamma=60.00
With the nearest neighbours (Å) after each atom.
Sites, in units of the cell vectors:
K: 0.2500 0.2500 0.2500  12 Cl 3.95
K: 0.7500 0.7500 0.7500  12 Cl 3.95
Rb: 0.0000 0.0000 0.0000  6 Cl 3.06
Au: 0.5000 0.5000 0.5000  6 Cl 2.51
Cl: 0.2748 0.2748 0.7252  1 Au 2.51
Cl: 0.2748 0.7252 0.2748  1 Au 2.51
Cl: 0.2748 0.7252 0.7252  1 Au 2.51
Cl: 0.7252 0.2748 0.2748  1 Au 2.51
Cl: 0.7252 0.2748 0.7252  1 Au 2.51
Cl: 0.7252 0.7252 0.2748  1 Au 2.51

---

# 8
## K2ScAuCl6 (PBE)

Data for a relaxed structure of K2ScAuCl6.

Results
* formation enthalpy at 0 K: -1.952 eV/atom
* uncorrected energy: -38.8 eV/cell
* M_tot: 0.00 μB per cell

Unit cell a=7.3866 b=7.3866 c=7.3866 alpha=60.00 beta=60.00 gamma=60.00
With the nearest neighbours (Å) after each atom.
Sites, in units of the cell vectors:
K: 0.2500 0.2500 0.2500  12 Cl 3.70
K: 0.7500 0.7500 0.7500  12 Cl 3.70
Sc: 0.0000 0.0000 0.0000  6 Cl 2.50
Au: 0.5000 0.5000 0.5000  6 Cl 2.72
Cl: 0.2391 0.2391 0.7609  1 Sc 2.50, 1 Au 2.72
Cl: 0.2391 0.7609 0.2391  1 Sc 2.50, 1 Au 2.72
Cl: 0.2391 0.7609 0.7609  1 Sc 2.50, 1 Au 2.72
Cl: 0.7609 0.2391 0.2391  1 Sc 2.50, 1 Au 2.72
Cl: 0.7609 0.2391 0.7609  1 Sc 2.50, 1 Au 2.72
Cl: 0.7609 0.7609 0.2391  1 Sc 2.50, 1 Au 2.72